Entry 1:
# NbTeCl9 | the Materials Project database | PBE-GGA | relaxed
data_NbTeCl9
_chemical_formula_sum 'Nb2 Te2 Cl18'
_space_group_name_H-M_alt 'P -1'
_space_group_IT_number 2
_space_group_name_Hall '-P 1'
_cell_length_a 6.7048
_cell_length_b 9.7913
_cell_length_c 11.8212
_cell_angle_alpha 106.44
_cell_angle_beta 105.23
_cell_angle_gamma 91.15
loop_
_atom_site_label
_atom_site_type_symbol
_atom_site_fract_x
_atom_site_fract_y
_atom_site_fract_z
Nb1 Nb 0.1342 0.2657 0.2112
Te1 Te 0.2996 0.3384 0.6642
Cl1 Cl 0.0086 0.9427 0.7734
Cl2 Cl 0.0275 0.7920 0.4330
Cl3 Cl 0.1000 0.6010 0.6721
Cl4 Cl 0.1100 0.7418 0.9701
Cl5 Cl 0.2759 0.5034 0.2157
Cl6 Cl 0.2796 0.3669 0.8641
Cl7 Cl 0.3772 0.1565 0.1197
Cl8 Cl 0.3830 0.3090 0.4148
Cl9 Cl 0.4769 0.1317 0.6576
# Energy = -80.39 eV per cell

Entry 2:
# LiMg14Nb | the Materials Project database | PBE-GGA | relaxed
data_LiMg14Nb
_chemical_formula_sum 'Li2 Mg28 Nb2'
_space_group_name_H-M_alt 'A m m 2'
_space_group_IT_number 38
_space_group_name_Hall 'A 2 -2'
_cell_length_a 10.0497
_cell_length_b 6.3765
_cell_length_c 10.9639
_cell_angle_alpha 90.00
_cell_angle_beta 90.00
_cell_angle_gamma 90.00
loop_
_atom_site_label
_atom_site_type_symbol
_atom_site_fract_x
_atom_site_fract_y
_atom_site_fract_z
Li1 Li 0.0000 0.0000 0.0000
Mg1 Mg 0.0000 0.2461 0.7531
Mg2 Mg 0.2429 0.2451 0.4213
Mg3 Mg 0.2451 0.0000 0.6639
Mg4 Mg 0.2467 0.0000 0.1676
Mg5 Mg 0.5000 0.0000 0.0014
Mg6 Mg 0.5000 0.0000 0.5016
Mg7 Mg 0.5000 0.2503 0.2520
Nb1 Nb 0.0000 0.0000 0.5015
# Energy = -66.21 eV per cell

Entry 3:
# PrSi2Ru2 | the Materials Project database | PBE-GGA | relaxed
data_PrSi2Ru2
_chemical_formula_sum 'Pr2 Si4 Ru4'
_space_group_name_H-M_alt 'I 4/m m m'
_space_group_IT_number 139
_space_group_name_Hall '-I 4 2'
_cell_length_a 4.2329
_cell_length_b 4.2329
_cell_length_c 9.9022
_cell_angle_alpha 90.00
_cell_angle_beta 90.00
_cell_angle_gamma 90.00
loop_
_atom_site_label
_atom_site_type_symbol
_atom_site_fract_x
_atom_site_fract_y
_atom_site_fract_z
Pr1 Pr 0.0000 0.0000 0.0000
Si1 Si 0.0000 0.0000 0.3631
Ru1 Ru 0.0000 0.5000 0.2500
# Energy = -77.12 eV per cell

Entry 4:
# Na2Nb4Zn4Si3S9O48 | the Materials Project database | PBE-GGA | relaxed
data_Na2Nb4Zn4Si3S9O48
_chemical_formula_sum 'Na6 Nb12 Zn12 Si9 S27 O144'
_space_group_name_H-M_alt 'P 1'
_space_group_IT_number 1
_space_group_name_Hall 'P 1'
_cell_length_a 8.8374
_cell_length_b 15.2608
_cell_length_c 22.8429
_cell_angle_alpha 89.98
_cell_angle_beta 89.99
_cell_angle_gamma 89.90
loop_
_atom_site_label
_atom_site_type_symbol
_atom_site_fract_x
_atom_site_fract_y
_atom_site_fract_z
Na1 Na 0.0000 0.0000 0.0000
Na2 Na 0.9996 0.3317 0.8398
Na3 Na 0.0030 0.3341 0.3428
Na4 Na 0.5007 0.8357 0.3426
Na5 Na 0.5020 0.4995 0.5028
Na6 Na 0.5018 0.8353 0.8409
Nb1 Nb 0.0045 0.3355 0.1874
Nb2 Nb 0.0055 0.6668 0.5276
Nb3 Nb 0.0087 0.6661 0.0267
Nb4 Nb 0.4956 0.1672 0.5291
Nb5 Nb 0.4982 0.1675 0.0243
Nb6 Nb 0.4977 0.8383 0.6883
Nb7 Nb 0.5016 0.5001 0.1432
Nb8 Nb 0.5021 0.8349 0.1915
Nb9 Nb 0.5123 0.5000 0.8567
Nb10 Nb 0.9911 0.0006 0.3591
Nb11 Nb 0.9937 0.0064 0.6443
Nb12 Nb 0.9984 0.3285 0.6954
Zn1 Zn 0.0026 0.6637 0.3177
Zn2 Zn 0.0058 0.3391 0.9881
Zn3 Zn 0.0067 0.3322 0.4868
Zn4 Zn 0.4944 0.8386 0.4898
Zn5 Zn 0.4972 0.8306 0.9847
Zn6 Zn 0.5023 0.4982 0.3565
Zn7 Zn 0.5033 0.1664 0.3146
Zn8 Zn 0.5070 0.5011 0.6549
Zn9 Zn 0.5114 0.1622 0.8120
Zn10 Zn 0.9956 0.0019 0.1552
Zn11 Zn 0.9973 0.0025 0.8510
Zn12 Zn 0.9986 0.6686 0.8133
Si1 Si 0.1388 0.1948 0.5842
Si2 Si 0.2150 0.8359 0.5850
Si3 Si 0.2868 0.3317 0.0836
Si4 Si 0.3623 0.6945 0.0844
Si5 Si 0.6455 0.9746 0.5814
Si6 Si 0.7082 0.0066 0.2502
Si7 Si 0.7980 0.5074 0.7488
Si8 Si 0.8501 0.1386 0.7582
Si9 Si 0.8589 0.4759 0.0822
S1 S 0.1435 0.8541 0.2533
S2 S 0.1452 0.5220 0.9175
S3 S 0.1453 0.8134 0.9177
S4 S 0.1469 0.1451 0.2531
S5 S 0.1522 0.4773 0.5858
S6 S 0.2105 0.1675 0.9177
S7 S 0.2123 0.5011 0.2546
S8 S 0.2887 0.0007 0.7546
S9 S 0.2931 0.6674 0.4185
S10 S 0.3520 0.9783 0.0854
S11 S 0.3563 0.6453 0.7528
S12 S 0.3584 0.0223 0.4178
S13 S 0.3575 0.3127 0.4177
S14 S 0.3584 0.3555 0.7531
S15 S 0.6423 0.6868 0.5840
S16 S 0.6460 0.0189 0.9202
S17 S 0.6457 0.3567 0.2542
S18 S 0.6483 0.6436 0.2544
S19 S 0.6488 0.3102 0.9182
S20 S 0.7122 0.3376 0.5842
S21 S 0.7127 0.6703 0.9182
S22 S 0.7900 0.1713 0.4183
S23 S 0.7920 0.8372 0.0839
S24 S 0.8545 0.8090 0.4179
S25 S 0.8563 0.5206 0.4192
S26 S 0.8575 0.8551 0.7536
S27 S 0.8602 0.1867 0.0838
O1 O 0.0636 0.2329 0.2490
O2 O 0.0656 0.2297 0.5264
O3 O 0.0692 0.9000 0.9164
O4 O 0.0732 0.1006 0.3061
O5 O 0.0765 0.5683 0.5762
O6 O 0.0779 0.4419 0.6381
O7 O 0.0787 0.7663 0.9722
O8 O 0.0804 0.4346 0.9238
O9 O 0.0811 0.5660 0.8672
O10 O 0.0832 0.7672 0.2636
O11 O 0.0843 0.0954 0.5989
O12 O 0.0860 0.8936 0.2000
O13 O 0.1036 0.9131 0.6044
O14 O 0.1047 0.7467 0.5745
O15 O 0.1121 0.4184 0.2460
O16 O 0.1125 0.5769 0.2593
O17 O 0.1148 0.2450 0.9262
O18 O 0.1153 0.5773 0.9729
O19 O 0.1163 0.2566 0.6424
O20 O 0.1162 0.7592 0.8663
O21 O 0.1220 0.9124 0.3065
O22 O 0.1226 0.0944 0.2002
O23 O 0.1263 0.4277 0.5323
O24 O 0.1265 0.0850 0.9208
O25 O 0.1765 0.6816 0.0752
O26 O 0.1806 0.3145 0.1437
O27 O 0.1859 0.3524 0.7500
O28 O 0.1872 0.0156 0.4109
O29 O 0.1877 0.6572 0.4724
O30 O 0.1904 0.9916 0.0954
O31 O 0.1923 0.3234 0.4241
O32 O 0.1948 0.3514 0.0272
O33 O 0.1965 0.0078 0.7014
O34 O 0.1982 0.6598 0.7643
O35 O 0.1980 0.6794 0.3664
O36 O 0.2040 0.9778 0.8073
O37 O 0.3024 0.4825 0.3068
O38 O 0.3049 0.1604 0.2639
O39 O 0.3046 0.8491 0.5268
O40 O 0.3075 0.5103 0.2015
O41 O 0.3082 0.1787 0.8671
O42 O 0.3105 0.8228 0.9250
O43 O 0.3147 0.4931 0.5934
O44 O 0.3146 0.5159 0.9125
O45 O 0.3183 0.8485 0.2484
O46 O 0.3212 0.1601 0.9735
O47 O 0.3247 0.8140 0.6434
O48 O 0.3268 0.1830 0.5750
O49 O 0.3791 0.9260 0.0335
O50 O 0.3803 0.5944 0.7002
O51 O 0.3823 0.5850 0.4171
O52 O 0.3843 0.4148 0.8068
O53 O 0.3851 0.0767 0.4723
O54 O 0.3866 0.0761 0.7596
O55 O 0.3876 0.2598 0.3656
O56 O 0.3892 0.7545 0.1436
O57 O 0.3903 0.7444 0.4255
O58 O 0.3947 0.9174 0.7459
O59 O 0.3987 0.4125 0.1023
O60 O 0.4003 0.2461 0.0754
O61 O 0.4173 0.2692 0.7642
O62 O 0.4175 0.3949 0.7002
O63 O 0.4213 0.0653 0.3667
O64 O 0.4211 0.9340 0.4232
O65 O 0.4227 0.5959 0.1021
O66 O 0.4243 0.2672 0.4716
O67 O 0.4269 0.9387 0.1394
O68 O 0.4287 0.0667 0.0785
O69 O 0.4301 0.6001 0.8063
O70 O 0.4333 0.4001 0.4162
O71 O 0.4393 0.7323 0.7495
O72 O 0.4395 0.7302 0.0279
O73 O 0.5667 0.9303 0.6416
O74 O 0.5694 0.3995 0.9133
O75 O 0.5710 0.0739 0.5735
O76 O 0.5726 0.6099 0.3067
O77 O 0.5748 0.9320 0.9291
O78 O 0.5774 0.2711 0.2589
O79 O 0.5773 0.7353 0.2442
O80 O 0.5792 0.0594 0.8687
O81 O 0.5803 0.2695 0.9733
O82 O 0.5806 0.5990 0.5917
O83 O 0.5812 0.7263 0.5313
O84 O 0.5832 0.4021 0.2014
O85 O 0.5987 0.0834 0.2654
O86 O 0.6052 0.4102 0.5916
O87 O 0.6084 0.0775 0.9743
O88 O 0.6076 0.9117 0.2440
O89 O 0.6113 0.7455 0.9245
O90 O 0.6128 0.5879 0.9113
O91 O 0.6138 0.2587 0.8670
O92 O 0.6144 0.5906 0.2017
O93 O 0.6193 0.2539 0.5759
O94 O 0.6231 0.7424 0.6377
O95 O 0.6306 0.9183 0.5248
O96 O 0.6323 0.4125 0.3063
O97 O 0.6746 0.1574 0.7587
O98 O 0.6774 0.4852 0.8098
O99 O 0.6827 0.4925 0.1020
O100 O 0.6850 0.8438 0.7437
O101 O 0.6888 0.5155 0.4165
O102 O 0.6890 0.5152 0.6950
O103 O 0.6897 0.1800 0.0773
O104 O 0.6927 0.8229 0.4240
O105 O 0.6935 0.8221 0.1380
O106 O 0.6988 0.1809 0.3660
O107 O 0.6991 0.8518 0.0324
O108 O 0.6996 0.1534 0.4715
O109 O 0.8028 0.3519 0.5318
O110 O 0.8046 0.6534 0.9722
O111 O 0.8053 0.6806 0.8666
O112 O 0.8061 0.3214 0.6374
O113 O 0.8106 0.3230 0.9253
O114 O 0.8109 0.6559 0.2597
O115 O 0.8120 0.0135 0.9199
O116 O 0.8126 0.0130 0.1949
O117 O 0.8153 0.6791 0.5760
O118 O 0.8166 0.3456 0.2441
O119 O 0.8213 0.9898 0.5977
O120 O 0.8269 0.9851 0.3103
O121 O 0.8682 0.9090 0.8068
O122 O 0.8689 0.4175 0.0265
O123 O 0.8832 0.2436 0.1382
O124 O 0.8826 0.7536 0.0773
O125 O 0.8875 0.7580 0.3655
O126 O 0.8912 0.5777 0.4724
O127 O 0.8916 0.0879 0.4107
O128 O 0.8920 0.2459 0.4239
O129 O 0.8963 0.4140 0.7437
O130 O 0.8969 0.9099 0.0925
O131 O 0.8980 0.0823 0.6990
O132 O 0.9024 0.5849 0.7658
O133 O 0.9196 0.8983 0.7010
O134 O 0.9216 0.5606 0.3664
O135 O 0.9245 0.0995 0.0925
O136 O 0.9237 0.2269 0.0319
O137 O 0.9239 0.7692 0.4717
O138 O 0.9242 0.7689 0.7591
O139 O 0.9259 0.4332 0.4269
O140 O 0.9311 0.5747 0.0739
O141 O 0.9320 0.2395 0.7425
O142 O 0.9347 0.8985 0.4118
O143 O 0.9366 0.4300 0.1422
O144 O 0.9451 0.1092 0.8142
# Energy = -1389.21 eV per cell

Entry 5:
# ZnGa2S4 | the Materials Project database | PBE-GGA | relaxed
data_ZnGa2S4
_chemical_formula_sum 'Zn6 Ga12 S24'
_space_group_name_H-M_alt 'R 3 m'
_space_group_IT_number 160
_space_group_name_Hall 'R 3 -2"'
_cell_length_a 3.7258
_cell_length_b 3.7258
_cell_length_c 72.9891
_cell_angle_alpha 90.00
_cell_angle_beta 90.00
_cell_angle_gamma 120.00
loop_
_atom_site_label
_atom_site_type_symbol
_atom_site_fract_x
_atom_site_fract_y
_atom_site_fract_z
Zn1 Zn 0.0000 0.0000 0.0000
Zn2 Zn 0.0000 0.0000 0.1676
Ga1 Ga 0.0000 0.0000 0.4369
Ga2 Ga 0.0000 0.0000 0.6033
Ga3 Ga 0.0000 0.0000 0.7193
Ga4 Ga 0.0000 0.0000 0.8859
S1 S 0.0000 0.0000 0.0367
S2 S 0.0000 0.0000 0.1165
S3 S 0.0000 0.0000 0.2031
S4 S 0.0000 0.0000 0.4058
S5 S 0.0000 0.0000 0.4918
S6 S 0.0000 0.0000 0.5723
S7 S 0.0000 0.0000 0.6577
S8 S 0.0000 0.0000 0.9498
# Energy = -167.38 eV per cell

Entry 6:
# Rb2MnSe2 | the Materials Project database | PBE-GGA | relaxed
data_Rb2MnSe2
_chemical_formula_sum 'Rb8 Mn4 Se8'
_space_group_name_H-M_alt 'I b a m'
_space_group_IT_number 72
_space_group_name_Hall '-I 2 2c'
_cell_length_a 7.3759
_cell_length_b 13.8960
_cell_length_c 6.7035
_cell_angle_alpha 90.00
_cell_angle_beta 90.00
_cell_angle_gamma 90.00
loop_
_atom_site_label
_atom_site_type_symbol
_atom_site_fract_x
_atom_site_fract_y
_atom_site_fract_z
Rb1 Rb 0.1674 0.1463 0.0000
Mn1 Mn 0.0000 0.5000 0.2500
Se1 Se 0.1855 0.3991 0.0000
# Energy = -90.98 eV per cell

Entry 7:
# InH3O3 | the Materials Project database | PBE-GGA | relaxed
data_InH3O3
_chemical_formula_sum 'In4 H12 O12'
_space_group_name_H-M_alt 'P 1'
_space_group_IT_number 1
_space_group_name_Hall 'P 1'
_cell_length_a 7.0037
_cell_length_b 7.0085
_cell_length_c 7.0244
_cell_angle_alpha 111.21
_cell_angle_beta 106.90
_cell_angle_gamma 109.98
loop_
_atom_site_label
_atom_site_type_symbol
_atom_site_fract_x
_atom_site_fract_y
_atom_site_fract_z
In1 In 0.0000 0.0000 0.0000
In2 In 0.0086 0.5318 0.4997
In3 In 0.5100 0.0242 0.5057
In4 In 0.5444 0.5362 0.0129
H1 H 0.0576 0.8944 0.3370
H2 H 0.1102 0.3157 0.7178
H3 H 0.1948 0.2161 0.5141
H4 H 0.2925 0.8355 0.9652
H5 H 0.2978 0.4672 0.2304
H6 H 0.3974 0.0752 0.8485
H7 H 0.4544 0.6920 0.6122
H8 H 0.6363 0.9800 0.1819
H9 H 0.7203 0.4909 0.6808
H10 H 0.7454 0.2058 0.0524
H11 H 0.8380 0.8067 0.4644
H12 H 0.9295 0.1603 0.7398
O1 O 0.1804 0.8459 0.8471
O2 O 0.1836 0.0334 0.3495
O3 O 0.2069 0.3740 0.6545
O4 O 0.2735 0.3463 0.0806
O5 O 0.3343 0.6866 0.4873
O6 O 0.5074 0.8534 0.1748
O7 O 0.5257 0.1942 0.8471
O8 O 0.6975 0.6800 0.8494
O9 O 0.7416 0.3608 0.5708
O10 O 0.8181 0.9948 0.6717
O11 O 0.8571 0.6949 0.3415
O12 O 0.8601 0.2053 0.1773
# Energy = -144.65 eV per cell

Entry 8:
# ZrSn | the Materials Project database | PBE-GGA | relaxed
data_ZrSn
_chemical_formula_sum 'Zr8 Sn8'
_space_group_name_H-M_alt 'P m m n'
_space_group_IT_number 59
_cell_length_a 5.3152
_cell_length_b 6.0182
_cell_length_c 11.6927
_cell_angle_alpha 90.00
_cell_angle_beta 90.00
_cell_angle_gamma 90.00
loop_
_space_group_symop_operation_xyz
'x,y,z'
'-x,-y,-z'
'-x+1/2,-y+1/2,z'
'x+1/2,y+1/2,-z'
'x+1/2,-y,-z'
'-x+1/2,y,z'
'-x,y+1/2,-z'
'x,-y+1/2,z'
loop_
_atom_site_label
_atom_site_type_symbol
_atom_site_fract_x
_atom_site_fract_y
_atom_site_fract_z
Zr1 Zr 0.2500 0.0012 0.0740
Zr2 Zr 0.2500 0.7500 0.3280
Zr3 Zr 0.2500 0.7500 0.8061
Sn1 Sn 0.2500 0.0050 0.5673
Sn2 Sn 0.2500 0.2500 0.3001
Sn3 Sn 0.2500 0.2500 0.8450
# Energy = -105.21 eV per cell

Entry 9:
# Sm2B4O9 | the Materials Project database | PBE-GGA | relaxed
data_Sm2B4O9
_chemical_formula_sum 'Sm4 B8 O18'
_space_group_name_H-M_alt 'P -1'
_space_group_IT_number 2
_space_group_name_Hall '-P 1'
_cell_length_a 6.2753
_cell_length_b 6.5685
_cell_length_c 7.6130
_cell_angle_alpha 102.10
_cell_angle_beta 96.91
_cell_angle_gamma 102.46
loop_
_atom_site_label
_atom_site_type_symbol
_atom_site_fract_x
_atom_site_fract_y
_atom_site_fract_z
Sm1 Sm 0.0471 0.0923 0.2842
Sm2 Sm 0.3869 0.6767 0.3576
B1 B 0.1262 0.3576 0.6535
B2 B 0.1616 0.6775 0.9255
B3 B 0.2287 0.3351 0.9809
B4 B 0.4950 0.1499 0.1865
O1 O 0.0046 0.7839 0.0162
O2 O 0.0430 0.5369 0.7489
O3 O 0.0755 0.8136 0.4402
O4 O 0.2604 0.2654 0.7915
O5 O 0.2717 0.5679 0.0382
O6 O 0.2776 0.4059 0.5258
O7 O 0.3140 0.8623 0.8816
O8 O 0.3595 0.2812 0.1386
O9 O 0.4348 0.0499 0.3213
# Energy = -247.26 eV per cell

Entry 10:
# Tl3SbS4 | the Materials Project database | PBE-GGA | relaxed
data_Tl3SbS4
_chemical_formula_sum 'Tl6 Sb2 S8'
_space_group_name_H-M_alt 'P -1'
_space_group_IT_number 2
_space_group_name_Hall '-P 1'
_cell_length_a 6.4454
_cell_length_b 6.7276
_cell_length_c 12.1631
_cell_angle_alpha 95.13
_cell_angle_beta 98.51
_cell_angle_gamma 105.59
loop_
_atom_site_label
_atom_site_type_symbol
_atom_site_fract_x
_atom_site_fract_y
_atom_site_fract_z
Tl1 Tl 0.0372 0.0686 0.2904
Tl2 Tl 0.2715 0.7525 0.0216
Tl3 Tl 0.3000 0.7438 0.4766
Sb1 Sb 0.4173 0.4886 0.7494
S1 S 0.2154 0.5256 0.2312
S2 S 0.2287 0.3181 0.5671
S3 S 0.2600 0.3106 0.8903
S4 S 0.4196 0.8412 0.7670
# Energy = -60.27 eV per cell